Record 1
The following is a DFT calculation (GGA+U) of crystalline TiFeO3 at its relaxed geometry.

Cell lengths 12.025, 6.052, 6.174 Å; angles 127.28, 145.34, 39.49 degrees
Sites, in units of the cell vectors:
Ti1 0.752 0.712 0.833
Ti2 0.248 0.288 0.167
Fe1 0.322 0.503 0.871
Fe2 0.678 0.497 0.129
O1 0.935 0.385 0.688
O2 0.543 0.210 0.778
O3 0.298 0.420 0.083
O4 0.065 0.615 0.312
O5 0.457 0.790 0.222
O6 0.702 0.580 0.917

Magnetization = 4.000 μB/f.u.
Final energy = -0.29521 hartree per atom
Space group = P-1



Record 2
The following is a DFT calculation (GGA+U) of crystalline MgTi2Ni2O6 at its relaxed geometry.

Cell lengths 5.164, 5.693, 5.104 Å; angles 115.33, 60.26, 114.46 degrees
Sites, in units of the cell vectors:
Mg1 0.992 0.973 0.993
Ti1 0.175 0.511 0.164
Ti2 0.657 0.971 0.656
Ni1 0.366 0.081 0.356
Ni2 0.815 0.482 0.825
O1 0.051 0.235 0.400
O2 0.565 0.774 0.278
O3 0.293 0.785 0.944
O4 0.787 0.246 0.052
O5 0.388 0.236 0.787
O6 0.934 0.764 0.568

Magnetization = 2.023 μB/f.u.
Final energy = -0.24519 hartree per atom
Space group = P1



Record 3
The following is a DFT calculation (GGA+U) of crystalline Li4Ti3Mn2Co3O16 at its relaxed geometry.

Cell lengths 5.771, 5.771, 9.506 Å; angles 89.32, 89.32, 60.50 degrees
Sites, in units of the cell vectors:
Li1 0.327 0.327 0.888
Li2 0.018 0.018 0.990
Li3 0.009 0.009 0.500
Li4 0.663 0.663 0.402
Ti1 0.168 0.667 0.214
Ti2 0.667 0.168 0.214
Ti3 0.825 0.825 0.715
Mn1 0.332 0.332 0.491
Mn2 0.660 0.660 0.982
Co1 0.176 0.176 0.217
Co2 0.340 0.824 0.710
Co3 0.824 0.340 0.710
O1 0.163 0.667 0.597
O2 0.480 0.480 0.344
O3 0.340 0.340 0.103
O4 0.007 0.007 0.314
O5 0.999 0.999 0.804
O6 0.667 0.163 0.597
O7 0.041 0.477 0.345
O8 0.477 0.041 0.345
O9 0.842 0.842 0.108
O10 0.167 0.167 0.601
O11 0.511 0.954 0.840
O12 0.954 0.511 0.840
O13 0.664 0.664 0.603
O14 0.332 0.840 0.106
O15 0.508 0.508 0.822
O16 0.840 0.332 0.106

Magnetization = 7.000 μB/f.u.
Final energy = -0.25760 hartree per atom
Space group = Cm



Record 4
The following is a DFT calculation (GGA+U) of crystalline MgV4Ag2O11 at its relaxed geometry.

Cell lengths 3.765, 7.801, 8.219 Å; angles 85.95, 76.76, 76.04 degrees
Sites, in units of the cell vectors:
Mg1 0.493 0.500 0.500
V1 0.629 0.124 0.602
V2 0.355 0.876 0.398
V3 0.831 0.138 0.188
V4 0.158 0.862 0.812
Ag1 0.848 0.471 0.822
Ag2 0.141 0.529 0.178
O1 0.476 0.333 0.703
O2 0.512 0.667 0.297
O3 0.658 0.270 0.394
O4 0.323 0.730 0.606
O5 0.785 0.337 0.086
O6 0.207 0.663 0.914
O7 0.991 0.000 0.000
O8 0.341 0.075 0.227
O9 0.822 0.941 0.399
O10 0.162 0.059 0.601
O11 0.643 0.925 0.773

Magnetization = 2.000 μB/f.u.
Final energy = -0.24546 hartree per atom
Space group = C2